1.
TaN, optimized geometry, DFT PBE; final energy = -21.9 eV per formula unit; total moment = 0.00 μB/f.u.; crystal system = cubic
1.0
-1.034 2.949 -0.111
-1.839 0.925 -2.354
-3.020 0.619 0.525
Ta N
1 1
Direct
0.500 0.500 0.500
0.000 0.000 0.000

***

2.
KNdHf2O6, optimized geometry, DFT PBE; final energy = -86.8 eV per formula unit; total moment = 0.00 μB/f.u.; crystal system = cubic
1.0
0.000 -4.122 -4.122
4.122 0.000 -4.122
4.122 -4.122 0.000
K Nd Hf O
1 1 2 6
Direct
0.500 0.500 0.500
0.000 0.000 0.000
0.250 0.250 0.250
0.750 0.750 0.750
0.000 0.000 0.500
0.500 0.500 0.000
0.000 0.500 0.500
0.500 0.000 0.000
0.000 0.500 0.000
0.500 0.000 0.500

***

3.
Na14Y8Si7S5O48, optimized geometry, DFT PBE; final energy = -567.4 eV per formula unit; total moment = 0.00 μB/f.u.; crystal system = triclinic
1.0
-0.342 9.397 16.488
1.052 -9.430 -0.075
23.448 2.625 -0.986
Na Y Si S O
42 24 21 15 144
Direct
0.810 0.989 0.243
0.188 0.365 0.256
0.691 0.367 0.255
0.000 0.652 0.242
0.500 0.652 0.243
0.310 0.633 0.753
0.998 0.346 0.747
0.503 0.350 0.747
0.187 0.009 0.759
0.690 0.013 0.760
0.141 0.331 0.584
0.643 0.334 0.585
0.340 0.980 0.579
0.840 0.981 0.582
0.140 0.950 0.086
0.652 0.955 0.085
0.340 0.698 0.082
0.839 0.715 0.079
0.488 0.685 0.925
0.980 0.679 0.926
0.341 0.014 0.913
0.839 0.014 0.920
0.171 0.296 0.910
0.676 0.304 0.910
0.484 0.284 0.421
0.985 0.285 0.421
0.172 0.044 0.406
0.672 0.046 0.407
0.340 0.668 0.409
0.841 0.669 0.409
0.998 0.017 0.496
0.498 0.017 0.495
0.990 0.982 0.003
0.501 0.982 0.998
0.322 0.320 0.835
0.821 0.328 0.835
0.321 0.314 0.329
0.822 0.326 0.329
0.164 0.679 0.171
0.668 0.683 0.163
0.159 0.651 0.670
0.667 0.653 0.673
0.001 0.999 0.347
0.498 0.998 0.347
0.998 0.998 0.849
0.501 0.004 0.849
0.997 0.008 0.653
0.499 0.010 0.652
0.994 0.988 0.149
0.498 0.987 0.152
0.336 0.330 0.684
0.836 0.336 0.686
0.336 0.335 0.186
0.836 0.333 0.180
0.335 0.343 0.983
0.835 0.332 0.986
0.335 0.328 0.483
0.835 0.327 0.483
0.163 0.670 0.015
0.669 0.681 0.017
0.164 0.657 0.514
0.664 0.657 0.515
0.180 0.686 0.314
0.675 0.675 0.317
0.174 0.674 0.818
0.680 0.674 0.816
0.149 0.999 0.249
0.651 0.001 0.251
0.349 0.696 0.249
0.850 0.696 0.251
0.150 0.302 0.749
0.650 0.302 0.749
0.349 0.998 0.750
0.849 0.001 0.749
0.486 0.336 0.584
0.985 0.336 0.584
0.484 0.634 0.084
0.986 0.634 0.084
0.835 0.033 0.083
0.317 0.666 0.918
0.817 0.663 0.919
0.166 0.969 0.916
0.666 0.967 0.915
0.317 0.966 0.421
0.817 0.967 0.419
0.166 0.365 0.416
0.666 0.363 0.417
0.000 0.298 0.251
0.500 0.298 0.251
0.001 0.704 0.750
0.499 0.703 0.750
0.184 0.035 0.584
0.685 0.036 0.584
0.334 0.631 0.583
0.834 0.631 0.582
0.334 0.036 0.082
0.186 0.335 0.084
0.683 0.332 0.083
0.019 0.371 0.915
0.519 0.372 0.916
0.019 0.667 0.416
0.518 0.667 0.416
0.109 0.029 0.307
0.608 0.028 0.308
0.404 0.781 0.307
0.904 0.780 0.309
0.489 0.203 0.303
0.988 0.199 0.303
0.110 0.187 0.805
0.608 0.187 0.805
0.487 0.777 0.801
0.991 0.779 0.802
0.405 0.027 0.806
0.907 0.030 0.804
0.391 0.966 0.694
0.891 0.976 0.692
0.096 0.212 0.693
0.595 0.212 0.692
0.012 0.807 0.700
0.511 0.806 0.700
0.393 0.808 0.194
0.892 0.815 0.197
0.013 0.219 0.202
0.512 0.217 0.201
0.095 0.982 0.193
0.595 0.981 0.195
0.440 0.351 0.640
0.939 0.352 0.640
0.235 0.117 0.634
0.736 0.118 0.634
0.323 0.530 0.634
0.822 0.526 0.631
0.437 0.526 0.140
0.942 0.531 0.141
0.322 0.117 0.131
0.820 0.117 0.139
0.238 0.357 0.134
0.733 0.354 0.135
0.224 0.309 0.032
0.722 0.306 0.033
0.427 0.548 0.028
0.931 0.549 0.027
0.342 0.130 0.029
0.841 0.135 0.025
0.223 0.139 0.533
0.723 0.139 0.532
0.341 0.550 0.532
0.842 0.554 0.530
0.429 0.312 0.528
0.930 0.311 0.527
0.272 0.688 0.974
0.775 0.688 0.976
0.071 0.451 0.965
0.570 0.450 0.965
0.153 0.853 0.971
0.649 0.851 0.971
0.276 0.861 0.479
0.773 0.857 0.476
0.152 0.449 0.473
0.651 0.449 0.473
0.070 0.691 0.466
0.570 0.691 0.466
0.055 0.639 0.365
0.554 0.639 0.365
0.255 0.879 0.369
0.759 0.884 0.364
0.178 0.478 0.361
0.677 0.475 0.361
0.056 0.470 0.863
0.554 0.469 0.864
0.179 0.884 0.859
0.675 0.878 0.858
0.260 0.634 0.862
0.757 0.628 0.866
0.011 0.815 0.412
0.510 0.815 0.412
0.407 0.980 0.414
0.907 0.982 0.414
0.085 0.180 0.414
0.585 0.179 0.414
0.011 0.208 0.911
0.509 0.206 0.911
0.086 0.992 0.913
0.584 0.990 0.913
0.407 0.833 0.913
0.907 0.832 0.913
0.491 0.164 0.585
0.992 0.166 0.585
0.103 0.018 0.589
0.603 0.018 0.589
0.406 0.796 0.587
0.907 0.796 0.587
0.490 0.817 0.085
0.996 0.819 0.085
0.407 0.018 0.087
0.914 0.009 0.086
0.105 0.189 0.089
0.601 0.183 0.089
0.341 0.164 0.745
0.844 0.172 0.745
0.244 0.330 0.744
0.739 0.313 0.743
0.424 0.540 0.744
0.929 0.539 0.745
0.345 0.517 0.246
0.842 0.515 0.247
0.428 0.318 0.245
0.925 0.311 0.246
0.239 0.166 0.245
0.742 0.162 0.247
0.327 0.503 0.921
0.830 0.503 0.921
0.435 0.350 0.923
0.937 0.354 0.921
0.251 0.147 0.922
0.749 0.148 0.920
0.329 0.152 0.423
0.828 0.151 0.422
0.250 0.355 0.423
0.750 0.354 0.423
0.436 0.522 0.424
0.936 0.522 0.424
0.182 0.486 0.078
0.677 0.480 0.078
0.080 0.663 0.082
0.576 0.661 0.081
0.260 0.869 0.079
0.752 0.849 0.082
0.180 0.876 0.578
0.680 0.876 0.578
0.259 0.648 0.580
0.760 0.649 0.579
0.079 0.494 0.582
0.579 0.493 0.581
0.146 0.823 0.254
0.653 0.829 0.254
0.255 0.660 0.251
0.758 0.674 0.254
0.072 0.464 0.257
0.574 0.463 0.256
0.153 0.479 0.753
0.646 0.472 0.753
0.075 0.686 0.754
0.570 0.680 0.755
0.257 0.837 0.752
0.755 0.849 0.750

***

4.
PuAgAu2, optimized geometry, DFT PBE; final energy = -22.9 eV per formula unit; total moment = 0.11 μB/f.u.; crystal system = cubic
1.0
2.702 -2.757 3.110
-2.120 -2.023 3.999
-0.706 -4.902 0.219
Pu Ag Au
1 1 2
Direct
0.000 0.000 0.000
0.500 0.500 0.500
0.250 0.250 0.250
0.750 0.750 0.750

***

5.
TbNi2B2, optimized geometry, DFT PBE; final energy = -32.3 eV per formula unit; crystal system = monoclinic
1.0
-3.680 3.292 0.583
-3.028 -0.822 3.857
-0.041 4.260 5.362
Tb Ni B
2 4 4
Direct
0.882 0.118 0.750
0.118 0.882 0.250
0.468 0.279 0.200
0.532 0.721 0.800
0.721 0.532 0.300
0.279 0.468 0.700
0.495 0.846 0.476
0.505 0.154 0.524
0.154 0.505 0.024
0.846 0.495 0.976

***

6.
Cd2P6O17, optimized geometry, DFT PBE; final energy = -168.1 eV per formula unit; crystal system = monoclinic
1.0
18.388 0.000 0.000
0.000 5.612 0.000
0.000 2.811 7.184
Cd P O
4 12 34
Direct
0.073 0.095 0.144
0.573 0.905 0.356
0.927 0.905 0.856
0.427 0.095 0.644
0.030 0.492 0.695
0.530 0.508 0.805
0.970 0.508 0.305
0.470 0.492 0.195
0.168 0.737 0.581
0.668 0.263 0.919
0.832 0.263 0.419
0.332 0.737 0.081
0.178 0.707 0.978
0.678 0.293 0.522
0.822 0.293 0.022
0.322 0.707 0.478
0.012 0.234 0.840
0.512 0.766 0.660
0.988 0.766 0.160
0.488 0.234 0.340
0.011 0.733 0.724
0.511 0.267 0.776
0.989 0.267 0.276
0.489 0.733 0.224
0.000 0.500 0.500
0.500 0.500 0.000
0.117 0.491 0.657
0.617 0.509 0.843
0.883 0.509 0.343
0.383 0.491 0.157
0.139 0.953 0.422
0.639 0.047 0.078
0.239 0.605 0.540
0.739 0.395 0.960
0.761 0.395 0.460
0.261 0.605 0.040
0.335 0.933 0.531
0.835 0.067 0.969
0.665 0.067 0.469
0.165 0.933 0.031
0.370 0.479 0.539
0.870 0.521 0.961
0.630 0.521 0.461
0.130 0.479 0.039
0.313 0.819 0.251
0.813 0.181 0.249
0.687 0.181 0.749
0.187 0.819 0.751
0.361 0.953 0.922
0.861 0.047 0.578

***

7.
Zn3Cd, optimized geometry, DFT PBE; final energy = -4.4 eV per formula unit; crystal system = tetragonal
1.0
-1.295 3.247 3.664
-0.797 4.621 -1.911
-1.732 -4.582 -1.284
Zn Cd
3 1
Direct
0.750 0.250 0.500
0.250 0.750 0.500
0.500 0.500 0.000
0.000 0.000 0.000

***

8.
MgGaAu, optimized geometry, DFT PBE; final energy = -9.2 eV per formula unit; crystal system = hexagonal
1.0
1.164 6.981 -2.482
-5.360 -4.236 -3.096
-2.249 1.184 2.274
Mg Ga Au
3 3 3
Direct
0.384 0.384 0.000
0.616 0.000 0.000
0.000 0.616 0.000
0.718 0.718 0.500
0.282 0.000 0.500
0.000 0.282 0.500
0.000 0.000 0.000
0.667 0.333 0.500
0.333 0.667 0.500